[1]
First-principles (PBE) data for a relaxed Na14Ca5Zr3Si6S6O48 crystal, as listed in the Materials Project database.

Properties
Energy relative to the elements ... -2687 meV per atom
VASP energy ... -1609.3 eV for the cell shown

Unit cell a=9.440 b=16.353 c=22.956 alpha=90.00 beta=89.97 gamma=89.93
Space group P1 (No. 1)
Symmetry-distinct sites (fractional):
Na (0.000, 0.000, 0.000) x1
Na (0.000, 0.326, 0.658) x1
Na (0.006, 0.697, 0.012) x1
Na (0.025, 0.680, 0.679) x1
Na (0.037, 0.002, 0.337) x1
Na (0.038, 0.015, 0.675) x1
Na (0.151, 0.853, 0.838) x1
Na (0.156, 0.820, 0.521) x1
Na (0.157, 0.504, 0.836) x1
Na (0.169, 0.164, 0.179) x1
Na (0.179, 0.529, 0.165) x1
Na (0.189, 0.821, 0.160) x1
Na (0.190, 0.195, 0.510) x1
Na (0.238, 0.169, 0.841) x1
Na (0.305, 0.336, 0.426) x1
Na (0.338, 0.014, 0.751) x1
Na (0.340, 0.021, 0.258) x1
Na (0.343, 0.681, 0.594) x1
Na (0.348, 0.668, 0.094) x1
Na (0.350, 0.326, 0.931) x1
Na (0.459, 0.170, 0.351) x1
Na (0.481, 0.825, 0.661) x1
Na (0.490, 0.499, 0.015) x1
Na (0.504, 0.202, 0.010) x1
Na (0.510, 0.161, 0.680) x1
Na (0.529, 0.525, 0.672) x1
Na (0.534, 0.504, 0.329) x1
Na (0.534, 0.850, 0.352) x1
Na (0.650, 0.354, 0.852) x1
Na (0.654, 0.998, 0.832) x1
Na (0.659, 0.025, 0.174) x1
Na (0.661, 0.653, 0.184) x1
Na (0.662, 0.323, 0.506) x1
Na (0.686, 0.698, 0.510) x1
Na (0.737, 0.672, 0.841) x1
Na (0.824, 0.828, 0.430) x1
Na (0.829, 0.197, 0.090) x1
Na (0.836, 0.513, 0.252) x1
Na (0.850, 0.530, 0.756) x1
Na (0.852, 0.820, 0.928) x1
Na (0.854, 0.168, 0.588) x1
Na (0.953, 0.669, 0.341) x1
Ca (0.336, 0.337, 0.570) x1
Ca (0.341, 0.676, 0.738) x1
Ca (0.344, 0.008, 0.907) x1
Ca (0.347, 0.671, 0.238) x1
Ca (0.348, 0.328, 0.771) x1
Ca (0.350, 0.337, 0.072) x1
Ca (0.352, 0.010, 0.409) x1
Ca (0.840, 0.826, 0.270) x1
Ca (0.841, 0.834, 0.071) x1
Ca (0.841, 0.836, 0.573) x1
Ca (0.842, 0.508, 0.909) x1
Ca (0.844, 0.173, 0.739) x1
Ca (0.844, 0.178, 0.238) x1
Ca (0.854, 0.506, 0.404) x1
Ca (0.859, 0.829, 0.766) x1
Zr (0.334, 0.011, 0.099) x1
Zr (0.338, 0.682, 0.944) x1
Zr (0.349, 0.331, 0.268) x1
Zr (0.351, 0.676, 0.443) x1
Zr (0.355, 0.006, 0.600) x1
Zr (0.819, 0.506, 0.104) x1
Zr (0.841, 0.183, 0.943) x1
Zr (0.855, 0.179, 0.442) x1
Zr (0.863, 0.512, 0.597) x1
Si (0.000, 0.660, 0.497) x1
Si (0.046, 0.671, 0.837) x1
Si (0.146, 0.173, 0.333) x1
Si (0.157, 0.846, 0.669) x1
Si (0.185, 0.159, 0.999) x1
Si (0.189, 0.182, 0.669) x1
Si (0.192, 0.858, 0.002) x1
Si (0.494, 0.488, 0.170) x1
Si (0.496, 0.182, 0.166) x1
Si (0.497, 0.856, 0.498) x1
Si (0.504, 0.159, 0.501) x1
Si (0.547, 0.172, 0.836) x1
Si (0.646, 0.673, 0.337) x1
Si (0.686, 0.656, 0.000) x1
Si (0.694, 0.357, 0.999) x1
Si (0.694, 0.679, 0.669) x1
Si (0.993, 0.356, 0.504) x1
Si (0.997, 0.682, 0.169) x1
S (0.000, 0.990, 0.170) x1
S (0.047, 0.010, 0.502) x1
S (0.051, 0.342, 0.170) x1
S (0.146, 0.509, 0.003) x1
S (0.189, 0.489, 0.672) x1
S (0.196, 0.822, 0.338) x1
S (0.204, 0.522, 0.337) x1
S (0.490, 0.524, 0.837) x1
S (0.497, 0.821, 0.839) x1
S (0.537, 0.848, 0.172) x1
S (0.550, 0.509, 0.503) x1
S (0.645, 0.011, 0.004) x1
S (0.652, 0.345, 0.669) x1
S (0.686, 0.320, 0.339) x1
S (0.690, 0.991, 0.672) x1
S (0.703, 0.026, 0.336) x1
S (0.988, 0.024, 0.839) x1
S (0.995, 0.322, 0.837) x1
O (0.007, 0.152, 0.999) x1
O (0.017, 0.166, 0.671) x1
O (0.021, 0.851, 0.008) x1
O (0.029, 0.493, 0.665) x1
O (0.032, 0.180, 0.390) x1
O (0.038, 0.830, 0.338) x1
O (0.050, 0.511, 0.342) x1
O (0.050, 0.518, 0.054) x1
O (0.055, 0.836, 0.613) x1
O (0.056, 0.161, 0.274) x1
O (0.067, 0.501, 0.948) x1
O (0.067, 0.867, 0.728) x1
O (0.126, 0.999, 0.448) x1
O (0.135, 0.661, 0.778) x1
O (0.136, 0.329, 0.118) x1
O (0.143, 0.010, 0.841) x1
O (0.147, 0.022, 0.553) x1
O (0.149, 0.348, 0.223) x1
O (0.152, 0.329, 0.838) x1
O (0.161, 0.338, 0.505) x1
O (0.161, 0.994, 0.165) x1
O (0.165, 0.674, 0.893) x1
O (0.170, 0.674, 0.172) x1
O (0.176, 0.662, 0.496) x1
O (0.211, 0.442, 0.727) x1
O (0.214, 0.245, 0.615) x1
O (0.227, 0.094, 0.056) x1
O (0.227, 0.904, 0.943) x1
O (0.230, 0.567, 0.282) x1
O (0.233, 0.588, 0.001) x1
O (0.235, 0.768, 0.389) x1
O (0.245, 0.573, 0.675) x1
O (0.247, 0.091, 0.338) x1
O (0.247, 0.441, 0.008) x1
O (0.248, 0.784, 0.284) x1
O (0.250, 0.257, 0.332) x1
O (0.251, 0.118, 0.941) x1
O (0.252, 0.248, 0.007) x1
O (0.254, 0.447, 0.623) x1
O (0.257, 0.763, 0.671) x1
O (0.259, 0.905, 0.342) x1
O (0.261, 0.217, 0.730) x1
O (0.262, 0.763, 0.003) x1
O (0.263, 0.907, 0.060) x1
O (0.265, 0.568, 0.387) x1
O (0.265, 0.927, 0.661) x1
O (0.271, 0.092, 0.660) x1
O (0.280, 0.440, 0.335) x1
O (0.408, 0.091, 0.168) x1
O (0.412, 0.763, 0.500) x1
O (0.414, 0.444, 0.836) x1
O (0.419, 0.235, 0.223) x1
O (0.421, 0.906, 0.554) x1
O (0.422, 0.452, 0.112) x1
O (0.427, 0.125, 0.443) x1
O (0.430, 0.903, 0.843) x1
O (0.436, 0.571, 0.889) x1
O (0.438, 0.582, 0.176) x1
O (0.442, 0.776, 0.175) x1
O (0.446, 0.783, 0.784) x1
O (0.447, 0.924, 0.165) x1
O (0.449, 0.253, 0.510) x1
O (0.450, 0.088, 0.838) x1
O (0.451, 0.427, 0.229) x1
O (0.454, 0.257, 0.844) x1
O (0.455, 0.767, 0.889) x1
O (0.456, 0.897, 0.437) x1
O (0.460, 0.228, 0.107) x1
O (0.461, 0.438, 0.514) x1
O (0.461, 0.570, 0.783) x1
O (0.462, 0.099, 0.558) x1
O (0.464, 0.587, 0.502) x1
O (0.508, 0.653, 0.998) x1
O (0.523, 0.662, 0.673) x1
O (0.524, 0.347, 0.004) x1
O (0.525, 0.320, 0.336) x1
O (0.527, 0.675, 0.393) x1
O (0.531, 0.998, 0.665) x1
O (0.543, 0.020, 0.055) x1
O (0.547, 0.013, 0.341) x1
O (0.556, 0.671, 0.278) x1
O (0.562, 0.337, 0.617) x1
O (0.564, 0.356, 0.722) x1
O (0.566, 0.998, 0.950) x1
O (0.620, 0.862, 0.226) x1
O (0.629, 0.498, 0.449) x1
O (0.632, 0.839, 0.122) x1
O (0.634, 0.167, 0.775) x1
O (0.645, 0.510, 0.840) x1
O (0.652, 0.521, 0.554) x1
O (0.653, 0.829, 0.840) x1
O (0.663, 0.163, 0.174) x1
O (0.664, 0.838, 0.505) x1
O (0.668, 0.175, 0.891) x1
O (0.672, 0.493, 0.169) x1
O (0.681, 0.162, 0.495) x1
O (0.714, 0.946, 0.727) x1
O (0.718, 0.737, 0.613) x1
O (0.721, 0.270, 0.392) x1
O (0.723, 0.593, 0.057) x1
O (0.725, 0.091, 0.002) x1
O (0.728, 0.070, 0.281) x1
O (0.729, 0.398, 0.937) x1
O (0.733, 0.406, 0.343) x1
O (0.739, 0.758, 0.345) x1
O (0.742, 0.589, 0.337) x1
O (0.744, 0.281, 0.287) x1
O (0.745, 0.271, 0.673) x1
O (0.745, 0.420, 0.665) x1
O (0.746, 0.945, 0.014) x1
O (0.748, 0.076, 0.673) x1
O (0.752, 0.619, 0.942) x1
O (0.752, 0.948, 0.622) x1
O (0.753, 0.746, 0.009) x1
O (0.758, 0.076, 0.386) x1
O (0.766, 0.262, 0.002) x1
O (0.768, 0.409, 0.053) x1
O (0.771, 0.584, 0.660) x1
O (0.772, 0.713, 0.728) x1
O (0.777, 0.946, 0.337) x1
O (0.910, 0.945, 0.839) x1
O (0.913, 0.261, 0.502) x1
O (0.920, 0.715, 0.229) x1
O (0.925, 0.398, 0.565) x1
O (0.927, 0.621, 0.441) x1
O (0.928, 0.587, 0.159) x1
O (0.930, 0.403, 0.843) x1
O (0.934, 0.403, 0.449) x1
O (0.938, 0.072, 0.892) x1
O (0.938, 0.951, 0.119) x1
O (0.941, 0.752, 0.506) x1
O (0.943, 0.284, 0.783) x1
O (0.945, 0.075, 0.173) x1
O (0.947, 0.588, 0.840) x1
O (0.953, 0.941, 0.511) x1
O (0.954, 0.756, 0.843) x1
O (0.955, 0.267, 0.888) x1
O (0.958, 0.270, 0.177) x1
O (0.959, 0.071, 0.786) x1
O (0.960, 0.599, 0.556) x1
O (0.963, 0.089, 0.500) x1
O (0.969, 0.420, 0.169) x1
O (0.969, 0.743, 0.114) x1
O (0.971, 0.943, 0.224) x1


[2]
First-principles (PBE) data for a relaxed MgCuP2O7 crystal, as listed in the Materials Project database.

Properties
Offset from the most stable computed form ... 0.0 meV/atom
Energy relative to the elements ... -2513 meV per atom
VASP energy ... -148.0 eV for the cell shown

Unit cell a=5.442 b=6.397 c=7.503 alpha=81.92 beta=88.84 gamma=71.36
Space group P-1 (No. 2)
Symmetry-distinct sites (fractional):
Mg (0.168, 0.338, 0.352) x2
Cu (0.227, 0.848, 0.817) x2
P (0.274, 0.795, 0.385) x2
P (0.327, 0.318, 0.901) x2
O (0.109, 0.040, 0.321) x2
O (0.109, 0.645, 0.438) x2
O (0.145, 0.557, 0.835) x2
O (0.210, 0.144, 0.864) x2
O (0.409, 0.705, 0.205) x2
O (0.412, 0.298, 0.100) x2
O (0.474, 0.782, 0.526) x2


[3]
First-principles (PBE) data for a relaxed Na2BeO2 crystal, as listed in the Materials Project database.

Properties
Energy relative to the elements ... -2179 meV per atom
VASP energy ... -206.4 eV for the cell shown

Unit cell a=7.930 b=5.347 c=12.953 alpha=90.00 beta=117.84 gamma=90.00
Space group P2_1/c (No. 14)
Symmetry-distinct sites (fractional):
Na (0.076, 0.057, 0.125) x4
Na (0.173, 0.561, 0.264) x4
Na (0.355, 0.667, 0.534) x4
Na (0.419, 0.115, 0.666) x4
Be (0.089, 0.044, 0.461) x4
Be (0.260, 0.122, 0.377) x4
O (0.127, 0.633, 0.075) x4
O (0.128, 0.611, 0.859) x4
O (0.250, 0.228, 0.979) x4
O (0.362, 0.197, 0.307) x4


[4]
First-principles (PBE) data for a relaxed RbW3Br7 crystal, as listed in the Materials Project database.

Properties
Energy relative to the elements ... -1071 meV per atom
VASP energy ... -474.9 eV for the cell shown

Unit cell a=20.963 b=15.911 c=10.036 alpha=90.00 beta=115.84 gamma=90.00
Space group C2/c (No. 15)
Symmetry-distinct sites (fractional):
Rb (0.000, 0.000, 0.000) x4
Rb (0.000, 0.431, 0.250) x4
W (0.176, 0.307, 0.847) x8
W (0.197, 0.151, 0.947) x8
W (0.211, 0.277, 0.131) x8
Br (0.071, 0.390, 0.636) x8
Br (0.083, 0.234, 0.928) x8
Br (0.123, 0.008, 0.869) x8
Br (0.156, 0.315, 0.313) x8
Br (0.161, 0.181, 0.663) x8
Br (0.190, 0.434, 0.030) x8
Br (0.231, 0.121, 0.230) x8


[5]
First-principles (PBE) data for a relaxed RbMg14Mo crystal, as listed in the Materials Project database.

Properties
Offset from the most stable computed form ... 16.7 meV/atom
Energy relative to the elements ... 275 meV per atom
VASP energy ... -59.7 eV for the cell shown

Unit cell a=10.368 b=6.593 c=11.136 alpha=90.00 beta=90.00 gamma=90.00
Space group Amm2 (No. 38)
Symmetry-distinct sites (fractional):
Rb (0.000, 0.000, 0.000) x2
Mg (0.000, 0.247, 0.249) x4
Mg (0.236, 0.000, 0.656) x4
Mg (0.254, 0.233, 0.413) x8
Mg (0.268, 0.000, 0.169) x4
Mg (0.500, 0.000, 0.496) x2
Mg (0.500, 0.000, 0.993) x2
Mg (0.500, 0.244, 0.746) x4
Mo (0.000, 0.000, 0.483) x2


[6]
First-principles (PBE) data for a relaxed Tc8Br13O2 crystal, as listed in the Materials Project database.

Properties
Energy relative to the elements ... -300 meV per atom
VASP energy ... -241.3 eV for the cell shown

Unit cell a=7.857 b=14.216 c=13.561 alpha=90.00 beta=110.29 gamma=90.00
Space group P2_1/c (No. 14)
Symmetry-distinct sites (fractional):
Tc (0.069, 0.074, 0.338) x4
Tc (0.127, 0.581, 0.965) x4
Tc (0.159, 0.078, 0.551) x4
Tc (0.220, 0.576, 0.181) x4
Br (0.115, 0.589, 0.775) x4
Br (0.125, 0.151, 0.188) x4
Br (0.201, 0.219, 0.447) x4
Br (0.267, 0.720, 0.085) x4
Br (0.346, 0.085, 0.745) x4
Br (0.392, 0.644, 0.356) x4
Br (0.500, 0.000, 0.500) x2
O (0.083, 0.502, 0.511) x4